#P
# PBE Zn3B7BrO13, optimized geometry
# Spin magnetization = 0.0 μB/f.u.
data_Zn3B7BrO13
_chemical_formula_sum 'Zn12 B28 Br4 O52'
_space_group_name_H-M_alt 'P c a 21'
_space_group_IT_number 29
_cell_length_a 9.452
_cell_length_b 9.926
_cell_length_c 17.851
_cell_angle_alpha 90.00
_cell_angle_beta 90.00
_cell_angle_gamma 90.00
loop_
_space_group_symop_operation_xyz
'x,y,z'
'-x,-y,z+1/2'
'-x+1/2,y,z+1/2'
'x+1/2,-y,z'
loop_
_atom_site_label
_atom_site_type_symbol
_atom_site_fract_x
_atom_site_fract_y
_atom_site_fract_z
Zn1 Zn 0.029 0.022 0.000
Zn2 Zn 0.068 0.511 0.543
Zn3 Zn 0.188 0.421 0.243
B1 B 0.024 0.057 0.730
B2 B 0.028 0.685 0.260
B3 B 0.034 0.401 0.680
B4 B 0.074 0.512 0.364
B5 B 0.165 0.786 0.508
B6 B 0.199 0.106 0.051
B7 B 0.228 0.027 0.185
Br1 Br 0.244 0.259 0.489
O1 O 0.004 0.178 0.761
O2 O 0.046 0.564 0.120
O3 O 0.057 0.836 0.930
O4 O 0.062 0.852 0.861
O5 O 0.063 0.520 0.438
O6 O 0.078 0.394 0.323
O7 O 0.087 0.014 0.199
O8 O 0.087 0.638 0.324
O9 O 0.147 0.896 0.471
O10 O 0.161 0.001 0.731
O11 O 0.177 0.425 0.673
O12 O 0.179 0.687 0.551
O13 O 0.233 0.083 0.615

---

#Q
# PBE Zn3B7BrO13, optimized geometry
# Spin magnetization = 0.0 μB/f.u.
data_Zn3B7BrO13
_chemical_formula_sum 'Zn12 B28 Br4 O52'
_space_group_name_H-M_alt 'P c a 21'
_space_group_IT_number 29
_cell_length_a 8.657
_cell_length_b 8.665
_cell_length_c 12.251
_cell_angle_alpha 90.00
_cell_angle_beta 90.00
_cell_angle_gamma 90.00
loop_
_space_group_symop_operation_xyz
'x,y,z'
'-x,-y,z+1/2'
'-x+1/2,y,z+1/2'
'x+1/2,-y,z'
loop_
_atom_site_label
_atom_site_type_symbol
_atom_site_fract_x
_atom_site_fract_y
_atom_site_fract_z
Zn1 Zn 0.018 0.031 0.000
Zn2 Zn 0.018 0.469 0.004
Zn3 Zn 0.243 0.250 0.723
B1 B 0.000 0.003 0.249
B2 B 0.001 0.498 0.250
B3 B 0.045 0.749 0.850
B4 B 0.092 0.750 0.322
B5 B 0.245 0.746 0.996
B6 B 0.246 0.598 0.169
B7 B 0.246 0.902 0.169
Br1 Br 0.228 0.248 0.011
O1 O 0.035 0.338 0.771
O2 O 0.037 0.590 0.853
O3 O 0.041 0.169 0.274
O4 O 0.048 0.909 0.343
O5 O 0.088 0.958 0.151
O6 O 0.090 0.558 0.656
O7 O 0.120 0.827 0.933
O8 O 0.139 0.676 0.424
O9 O 0.165 0.018 0.728
O10 O 0.165 0.476 0.228
O11 O 0.175 0.625 0.063
O12 O 0.179 0.863 0.566
O13 O 0.230 0.751 0.238

---

The computed energies, referenced to the most stable structure and given in meV/atom, are #P 964; #Q 0.